{
  "formula": "PrB2ClO4",
  "functional": "meta-GGA r2SCAN",
  "state": "relaxed",
  "lattice": [[-4.2180, -0.0045, -0.0009], [2.0107, 6.2502, -0.0069], [-0.1414, -1.1157, -8.0178]],
  "species": ["Pr", "Pr", "B", "B", "B", "B", "Cl", "Cl", "O", "O", "O", "O", "O", "O", "O", "O"],
  "frac_coords": [[0.7898, 0.0322, 0.7783], [0.2102, 0.9678, 0.2217], [0.1698, 0.6517, 0.8531], [0.5666, 0.4375, 0.8058], [0.4334, 0.5625, 0.1942], [0.8302, 0.3483, 0.1469], [0.1457, 0.7970, 0.5422], [0.8543, 0.2030, 0.4578], [0.6316, 0.7643, 0.2095], [0.0948, 0.5359, 0.1760], [0.8366, 0.1518, 0.0791], [0.3684, 0.2357, 0.7905], [0.9052, 0.4641, 0.8240], [0.1634, 0.8482, 0.9209], [0.4833, 0.6280, 0.8170], [0.5167, 0.3720, 0.1830]],
  "magnetic_moment_mub_per_atom": 0.00,
  "formation_energy_ev_per_atom": -2.9097,
  "energy_ev_per_atom": -12.18
}